## K3Nb2Cu3Se8 (PBE-GGA)

Data for K3Nb2Cu3Se8 after structural relaxation.

Cell: 24.753 5.752 15.205 Å, 90.00 120.39 90.00°
Space group C2/c (No. 15)
Inequivalent atoms, fractional coordinates:
K 0.000 0.000 0.000 x4
K 0.191 0.462 0.094 x8
Nb 0.125 0.282 0.780 x8
Cu 0.000 0.278 0.750 x4
Cu 0.123 0.218 0.281 x8
Se 0.037 0.477 0.158 x8
Se 0.090 0.044 0.876 x8
Se 0.158 0.028 0.686 x8
Se 0.212 0.468 0.393 x8

Results
The energy relative to the elements is -17.20 eV/f.u.

---

## EuAl2Cl8 (PBE-GGA)

Data for EuAl2Cl8 after structural relaxation.

Cell: 7.596 7.059 12.828 Å, 90.00 94.51 90.00°
Space group P2/c (No. 13)
Inequivalent atoms, fractional coordinates:
Eu 0.000 0.158 0.250 x2
Al 0.178 0.260 0.920 x4
Cl 0.095 0.179 0.616 x4
Cl 0.236 0.303 0.086 x4
Cl 0.239 0.476 0.344 x4
Cl 0.326 0.026 0.862 x4

Results
The energy relative to the elements is -24.61 eV/f.u.

---

## Sr2Sb (PBE-GGA)

Data for Sr2Sb after structural relaxation.

Cell: 5.067 5.067 17.852 Å, 90.00 90.00 90.00°
Space group I4/mmm (No. 139)
Inequivalent atoms, fractional coordinates:
Sr 0.000 0.000 0.178 x4
Sr 0.000 0.500 0.000 x4
Sb 0.000 0.000 0.365 x4

Results
The energy relative to the elements is -2.76 eV/f.u.

---

## LaCoTc2 (PBE-GGA)

Data for LaCoTc2 after structural relaxation.

Cell: 6.451 6.451 6.451 Å, 90.00 90.00 90.00°
Space group Fm-3m (No. 225)
Inequivalent atoms, fractional coordinates:
La 0.000 0.000 0.000 x4
Co 0.000 0.000 0.500 x4
Tc 0.250 0.250 0.250 x8

Results
The energy relative to the elements is 2.33 eV/f.u.

---

## EuCd3S4 (PBE-GGA)

Data for EuCd3S4 after structural relaxation.

Cell: 4.3154 4.3154 42.1173 Å, 90.00 90.00 120.00°
Space group R3m (No. 160, hexagonal axes)
Inequivalent atoms, fractional coordinates:
Eu 0.0000 0.0000 0.0000 x3
Cd 0.0000 0.0000 0.2476 x3
Cd 0.0000 0.0000 0.5014 x3
Cd 0.0000 0.0000 0.7552 x3
S 0.0000 0.0000 0.1868 x3
S 0.0000 0.0000 0.4402 x3
S 0.0000 0.0000 0.6937 x3
S 0.0000 0.0000 0.9336 x3

Results
The energy relative to the elements is -9.28 eV/f.u.

---

## SrAcCd2 (PBE-GGA)

Data for SrAcCd2 after structural relaxation.

Cell: 8.161 8.161 8.161 Å, 90.00 90.00 90.00°
Space group Fm-3m (No. 225)
Inequivalent atoms, fractional coordinates:
Sr 0.000 0.000 0.000 x4
Ac 0.000 0.000 0.500 x4
Cd 0.250 0.250 0.250 x8

Results
The energy relative to the elements is -1.31 eV/f.u.

---

## SiO2 (PBE-GGA)

Data for SiO2 after structural relaxation.

Cell: 8.983 9.177 9.211 Å, 111.52 98.19 98.98°
Space group P1 (No. 1)
Inequivalent atoms, fractional coordinates:
Si 0.000 0.000 0.000 x1
Si 0.001 0.507 0.492 x1
Si 0.209 0.285 0.307 x1
Si 0.211 0.799 0.794 x1
Si 0.410 0.608 0.915 x1
Si 0.424 0.409 0.122 x1
Si 0.429 0.310 0.616 x1
Si 0.443 0.109 0.825 x1
Si 0.767 0.716 0.002 x1
Si 0.781 0.517 0.209 x1
Si 0.784 0.416 0.702 x1
Si 0.798 0.215 0.911 x1
O 0.077 0.372 0.379 x1
O 0.078 0.881 0.871 x1
O 0.130 0.113 0.160 x1
O 0.134 0.660 0.618 x1
O 0.290 0.722 0.910 x1
O 0.315 0.402 0.246 x1
O 0.316 0.248 0.442 x1
O 0.341 0.929 0.773 x1
O 0.362 0.511 0.024 x1
O 0.390 0.177 0.691 x1
O 0.401 0.482 0.733 x1
O 0.418 0.226 0.998 x1
O 0.585 0.719 0.992 x1
O 0.601 0.498 0.223 x1
O 0.608 0.332 0.597 x1
O 0.625 0.100 0.838 x1
O 0.790 0.597 0.829 x1
O 0.807 0.344 0.091 x1
O 0.827 0.653 0.139 x1
O 0.840 0.309 0.798 x1
O 0.866 0.896 0.048 x1
O 0.890 0.571 0.384 x1
O 0.899 0.423 0.585 x1
O 0.924 0.108 0.917 x1

Results
The energy relative to the elements is -9.76 eV/f.u.

---

## Ti3H2O7 (PBE-GGA)

Data for Ti3H2O7 after structural relaxation.

Cell: 16.496 3.789 9.284 Å, 90.00 102.88 90.00°
Space group Cm (No. 8)
Inequivalent atoms, fractional coordinates:
Ti 0.000 0.000 0.000 x2
Ti 0.048 0.500 0.568 x2
Ti 0.105 0.500 0.251 x2
Ti 0.174 0.500 0.961 x2
Ti 0.396 0.500 0.603 x2
Ti 0.449 0.500 0.308 x2
H 0.101 0.000 0.832 x2
H 0.204 0.500 0.528 x2
H 0.282 0.500 0.742 x2
H 0.344 0.500 0.020 x2
O 0.022 0.000 0.528 x2
O 0.032 0.500 0.035 x2
O 0.072 0.000 0.230 x2
O 0.108 0.500 0.749 x2
O 0.127 0.000 0.939 x2
O 0.144 0.500 0.464 x2
O 0.194 0.500 0.168 x2
O 0.272 0.500 0.925 x2
O 0.290 0.500 0.637 x2
O 0.362 0.500 0.388 x2
O 0.408 0.500 0.094 x2
O 0.431 0.000 0.600 x2
O 0.451 0.500 0.813 x2
O 0.486 0.000 0.326 x2

Results
The energy relative to the elements is -34.51 eV/f.u. The relative energy among the computed polymorphs comes out at 0.408 eV per formula unit.

---

## LaSb12Ru4 (PBE-GGA)

Data for LaSb12Ru4 after structural relaxation.

Cell: 9.395 9.395 9.395 Å, 90.00 90.00 90.00°
Space group Im-3 (No. 204)
Inequivalent atoms, fractional coordinates:
La 0.000 0.000 0.000 x2
Sb 0.000 0.158 0.340 x24
Ru 0.250 0.250 0.250 x8

Results
The energy relative to the elements is -6.16 eV/f.u.

---

## ZrNi (PBE-GGA)

Data for ZrNi after structural relaxation.

Cell: 3.306 9.968 4.086 Å, 90.00 90.00 90.00°
Space group Cmcm (No. 63)
Inequivalent atoms, fractional coordinates:
Zr 0.000 0.139 0.250 x4
Ni 0.000 0.417 0.250 x4

Results
The energy relative to the elements is -0.91 eV/f.u.

---

## H22RhC3N6O8 (PBE-GGA)

Data for H22RhC3N6O8 after structural relaxation.

Cell: 9.785 10.376 13.374 Å, 90.00 90.00 90.00°
Space group Pnnm (No. 58)
Inequivalent atoms, fractional coordinates:
H 0.022 0.144 0.163 x8
H 0.069 0.234 0.438 x8
H 0.083 0.782 0.081 x8
H 0.109 0.856 0.357 x8
H 0.143 0.902 0.151 x8
H 0.150 0.011 0.334 x8
H 0.167 0.240 0.278 x8
H 0.176 0.189 0.000 x4
H 0.199 0.168 0.500 x4
H 0.234 0.645 0.279 x8
H 0.235 0.927 0.420 x8
H 0.248 0.570 0.438 x8
Rh 0.000 0.000 0.000 x2
Rh 0.000 0.000 0.500 x2
C 0.002 0.576 0.000 x4
C 0.021 0.426 0.326 x8
N 0.059 0.870 0.113 x8
N 0.094 0.181 0.500 x4
N 0.140 0.941 0.389 x8
N 0.194 0.091 0.000 x4
O 0.074 0.657 0.332 x8
O 0.112 0.365 0.000 x4
O 0.119 0.629 0.000 x4
O 0.148 0.400 0.323 x8
O 0.172 0.152 0.249 x8

Results
The energy relative to the elements is -33.50 eV/f.u.

---

## CeSe2 (PBE-GGA)

Data for CeSe2 after structural relaxation.

Cell: 4.081 24.289 7.080 Å, 90.00 90.00 90.00°
Space group Fmm2 (No. 42)
Inequivalent atoms, fractional coordinates:
Ce 0.000 0.000 0.000 x4
Se 0.000 0.070 0.333 x8

Results
The energy relative to the elements is -4.96 eV/f.u.

---

Q: Number 10 is which compound?
A: ZrNi